No. 1
Entry from the Materials Project: Pm2TlHg after structural relaxation (PBE).

a b c (Å): 5.456 5.456 5.456
angles (deg): 60.00 60.00 60.00
Element x y z (fractional)
Pm1 0.250 0.250 0.250
Pm2 0.750 0.750 0.750
Tl1 0.000 0.000 0.000
Hg1 0.500 0.500 0.500

## Properties
ΔE_f: -0.426 eV per atom

---

No. 2
Entry from the Materials Project: CsNb3VCl11 after structural relaxation (PBE).

a b c (Å): 6.954 13.697 17.334
angles (deg): 90.00 90.00 90.00
Element x y z (fractional)
Cs1 0.250 0.996 0.259
Cs2 0.750 0.004 0.741
Cs3 0.750 0.504 0.759
Cs4 0.250 0.496 0.241
Nb1 0.044 0.748 0.512
Nb2 0.956 0.252 0.488
Nb3 0.956 0.752 0.012
Nb4 0.544 0.252 0.488
Nb5 0.044 0.248 0.988
Nb6 0.456 0.748 0.512
Nb7 0.456 0.248 0.988
Nb8 0.544 0.752 0.012
Nb9 0.250 0.691 0.647
Nb10 0.750 0.309 0.353
Nb11 0.750 0.809 0.147
Nb12 0.250 0.191 0.853
V1 0.250 0.680 0.836
V2 0.750 0.320 0.164
V3 0.750 0.820 0.336
V4 0.250 0.180 0.664
Cl1 0.250 0.821 0.928
Cl2 0.750 0.179 0.072
Cl3 0.750 0.679 0.428
Cl4 0.250 0.321 0.572
Cl5 0.250 0.856 0.590
Cl6 0.750 0.144 0.410
Cl7 0.750 0.644 0.090
Cl8 0.250 0.356 0.910
Cl9 0.014 0.754 0.747
Cl10 0.986 0.246 0.253
Cl11 0.986 0.746 0.247
Cl12 0.514 0.246 0.253
Cl13 0.014 0.254 0.753
Cl14 0.486 0.754 0.747
Cl15 0.486 0.254 0.753
Cl16 0.514 0.746 0.247
Cl17 0.500 0.610 0.920
Cl18 0.500 0.390 0.080
Cl19 0.500 0.890 0.420
Cl20 0.000 0.390 0.080
Cl21 0.500 0.110 0.580
Cl22 0.000 0.610 0.920
Cl23 0.000 0.110 0.580
Cl24 0.000 0.890 0.420
Cl25 0.250 0.542 0.746
Cl26 0.750 0.458 0.254
Cl27 0.750 0.958 0.246
Cl28 0.250 0.042 0.754
Cl29 0.008 0.591 0.580
Cl30 0.992 0.409 0.420
Cl31 0.992 0.909 0.080
Cl32 0.508 0.409 0.420
Cl33 0.008 0.091 0.920
Cl34 0.492 0.591 0.580
Cl35 0.492 0.091 0.920
Cl36 0.508 0.909 0.080
Cl37 0.250 0.160 0.080
Cl38 0.750 0.840 0.920
Cl39 0.750 0.340 0.580
Cl40 0.250 0.660 0.420
Cl41 0.250 0.679 0.083
Cl42 0.750 0.321 0.917
Cl43 0.750 0.821 0.583
Cl44 0.250 0.179 0.417

## Properties
Total energy after the MP2020 corrections: -5.5308 eV per atom
ΔE_f: -1.742 eV per atom

---

No. 3
Entry from the Materials Project: Na4Ga8Ge15 after structural relaxation (PBE).

a b c (Å): 10.857 10.857 10.857
angles (deg): 90.00 90.00 90.00
Element x y z (fractional)
Na1 0.500 0.500 0.500
Na2 0.000 0.000 0.000
Na3 0.500 0.000 0.750
Na4 0.000 0.250 0.500
Na5 0.750 0.500 0.000
Na6 0.500 0.000 0.250
Na7 0.000 0.750 0.500
Na8 0.250 0.500 0.000
Ga1 0.682 0.318 0.682
Ga2 0.318 0.682 0.318
Ga3 0.682 0.682 0.318
Ga4 0.318 0.318 0.682
Ga5 0.318 0.682 0.682
Ga6 0.682 0.318 0.318
Ga7 0.318 0.318 0.318
Ga8 0.682 0.682 0.682
Ga9 0.182 0.182 0.818
Ga10 0.818 0.818 0.182
Ga11 0.182 0.818 0.182
Ga12 0.818 0.182 0.818
Ga13 0.818 0.182 0.182
Ga14 0.182 0.818 0.818
Ga15 0.818 0.818 0.818
Ga16 0.182 0.182 0.182
Ge1 0.000 0.500 0.750
Ge2 0.500 0.250 0.000
Ge3 0.750 0.000 0.500
Ge4 0.000 0.500 0.250
Ge5 0.500 0.750 0.000
Ge6 0.250 0.000 0.500
Ge7 0.615 0.189 0.500
Ge8 0.811 0.500 0.615
Ge9 0.500 0.385 0.811
Ge10 0.385 0.811 0.500
Ge11 0.189 0.500 0.385
Ge12 0.500 0.615 0.189
Ge13 0.615 0.811 0.500
Ge14 0.811 0.500 0.385
Ge15 0.385 0.189 0.500
Ge16 0.189 0.500 0.615
Ge17 0.500 0.615 0.811
Ge18 0.500 0.385 0.189
Ge19 0.115 0.000 0.689
Ge20 0.311 0.115 0.000
Ge21 0.000 0.311 0.885
Ge22 0.885 0.000 0.311
Ge23 0.689 0.885 0.000
Ge24 0.000 0.689 0.115
Ge25 0.115 0.000 0.311
Ge26 0.311 0.885 0.000
Ge27 0.885 0.000 0.689
Ge28 0.689 0.115 0.000
Ge29 0.000 0.311 0.115
Ge30 0.000 0.689 0.885

## Properties
ΔE_f: -0.039 eV per atom